# 1
VASP calculation (PBE-GGA) on a relaxed structure of Bi2P2O9.

Unit cell a=7.006 b=8.534 c=15.330 alpha=90.00 beta=90.00 gamma=90.00
Fractional positions:
O  0.250  0.863  0.948
O  0.750  0.816  0.980
O  0.073  0.138  0.625
O  0.433  0.599  0.632
O  0.067  0.599  0.632
O  0.250  0.025  0.261
O  0.250  0.481  0.995
O  0.567  0.401  0.368
O  0.750  0.525  0.239
O  0.750  0.363  0.552
O  0.750  0.684  0.480
O  0.933  0.099  0.868
O  0.427  0.362  0.125
O  0.750  0.263  0.757
O  0.927  0.862  0.375
O  0.573  0.638  0.875
O  0.067  0.901  0.132
O  0.927  0.638  0.875
O  0.250  0.763  0.743
O  0.573  0.862  0.375
O  0.250  0.316  0.520
O  0.750  0.519  0.005
O  0.250  0.184  0.020
O  0.250  0.019  0.495
O  0.750  0.237  0.257
O  0.750  0.137  0.052
O  0.073  0.362  0.125
O  0.250  0.737  0.243
O  0.567  0.099  0.868
O  0.750  0.975  0.739
O  0.933  0.401  0.368
O  0.427  0.138  0.625
O  0.250  0.475  0.761
O  0.750  0.981  0.505
O  0.433  0.901  0.132
O  0.250  0.637  0.448
Bi  0.750  0.365  0.125
Bi  0.750  0.135  0.625
Bi  0.500  0.000  0.000
Bi  0.250  0.635  0.875
Bi  0.000  0.500  0.500
Bi  0.000  0.000  0.000
Bi  0.250  0.865  0.375
Bi  0.500  0.500  0.500
P  0.750  0.110  0.811
P  0.250  0.890  0.189
P  0.250  0.610  0.689
P  0.250  0.145  0.565
P  0.750  0.855  0.435
P  0.750  0.390  0.311
P  0.250  0.355  0.065
P  0.750  0.645  0.935

Summary:
crystal system = orthorhombic
final energy = -335.55 eV per cell
mass density = 4.52 g cm⁻³

---

# 2
VASP calculation (PBE-GGA) on a relaxed structure of ZrCu.

Unit cell a=5.326 b=5.326 c=5.282 alpha=82.36 beta=82.36 gamma=103.64
Fractional positions:
Zr  0.414  0.414  0.034
Zr  0.826  0.256  0.407
Zr  0.256  0.826  0.407
Zr  0.914  0.914  0.979
Cu  0.304  0.304  0.569
Cu  0.952  0.451  0.853
Cu  0.451  0.952  0.853
Cu  0.706  0.706  0.542

Summary:
crystal system = monoclinic
final energy = -51.61 eV per cell
mass density = 7.23 g cm⁻³

---

# 3
VASP calculation (PBE-GGA) on a relaxed structure of Li13Si4.

Unit cell a=4.421 b=7.898 c=15.012 alpha=90.00 beta=90.00 gamma=90.00
Fractional positions:
Si  0.000  0.083  0.660
Si  0.000  0.417  0.160
Si  0.500  0.926  0.069
Si  0.500  0.574  0.569
Si  0.500  0.426  0.431
Si  0.000  0.917  0.340
Si  0.500  0.074  0.931
Si  0.000  0.583  0.840
Li  0.500  0.758  0.405
Li  0.000  0.405  0.694
Li  0.000  0.770  0.154
Li  0.500  0.910  0.245
Li  0.000  0.000  0.500
Li  0.500  0.596  0.106
Li  0.000  0.652  0.475
Li  0.000  0.595  0.306
Li  0.500  0.742  0.905
Li  0.500  0.410  0.255
Li  0.500  0.590  0.745
Li  0.000  0.152  0.025
Li  0.500  0.904  0.606
Li  0.000  0.095  0.194
Li  0.000  0.348  0.525
Li  0.000  0.905  0.806
Li  0.500  0.404  0.894
Li  0.000  0.500  0.000
Li  0.500  0.090  0.755
Li  0.500  0.096  0.394
Li  0.000  0.730  0.654
Li  0.000  0.270  0.346
Li  0.000  0.230  0.846
Li  0.000  0.848  0.975
Li  0.500  0.242  0.595
Li  0.500  0.258  0.095

Summary:
crystal system = orthorhombic
final energy = -101.56 eV per cell
mass density = 1.28 g cm⁻³

---

# 4
VASP calculation (PBE-GGA) on a relaxed structure of Ti2S3.

Unit cell a=5.990 b=5.990 c=11.812 alpha=75.37 beta=75.37 gamma=59.74
Fractional positions:
Ti  0.293  0.461  0.120
Ti  0.539  0.707  0.380
Ti  0.127  0.963  0.618
Ti  0.873  0.037  0.382
Ti  0.707  0.539  0.880
Ti  0.461  0.293  0.620
Ti  0.037  0.873  0.882
Ti  0.963  0.127  0.118
S  0.083  0.246  0.752
S  0.586  0.414  0.250
S  0.162  0.659  0.500
S  0.341  0.838  0.000
S  0.838  0.341  0.500
S  0.754  0.917  0.748
S  0.414  0.586  0.750
S  0.500  0.000  0.500
S  0.659  0.162  0.000
S  0.246  0.083  0.252
S  0.000  0.500  0.000
S  0.917  0.754  0.248

Summary:
crystal system = monoclinic
final energy = -140.38 eV per cell
mass density = 3.64 g cm⁻³

---

# 5
VASP calculation (PBE-GGA) on a relaxed structure of Na3Mg2Sc2PS5O24.

Unit cell a=8.789 b=8.784 c=22.828 alpha=90.07 beta=89.93 gamma=119.89
Fractional positions:
Na  0.010  0.003  0.002
Na  0.331  0.660  0.667
Na  0.367  0.996  0.750
Na  0.317  0.665  0.167
Na  0.667  0.333  0.333
Na  0.016  0.001  0.502
Na  0.676  0.337  0.834
Na  0.663  0.968  0.586
Na  0.671  0.698  0.083
P  0.965  0.631  0.084
P  0.705  0.995  0.748
P  0.366  0.035  0.584
O  0.492  0.358  0.422
O  0.825  0.020  0.090
O  0.817  0.793  0.301
O  0.516  0.873  0.365
O  0.784  0.812  0.195
O  0.803  0.977  0.410
O  0.691  0.147  0.031
O  0.821  0.024  0.802
O  0.469  0.158  0.244
O  0.801  0.823  0.912
O  0.139  0.490  0.576
O  0.454  0.304  0.030
O  0.683  0.164  0.745
O  0.186  0.974  0.197
O  0.822  0.806  0.589
O  0.850  0.306  0.531
O  0.516  0.642  0.865
O  0.309  0.851  0.968
O  0.123  0.640  0.363
O  0.196  0.178  0.090
O  0.646  0.136  0.422
O  0.529  0.690  0.257
O  0.973  0.172  0.589
O  0.125  0.483  0.863
O  0.308  0.458  0.470
O  0.548  0.854  0.471
O  0.864  0.508  0.423
O  0.150  0.457  0.969
O  0.212  0.181  0.802
O  0.972  0.809  0.090
O  0.637  0.119  0.136
O  0.159  0.469  0.256
O  0.508  0.646  0.577
O  0.492  0.136  0.922
O  0.148  0.693  0.469
O  0.694  0.545  0.531
O  0.309  0.469  0.757
O  0.159  0.690  0.757
O  0.363  0.496  0.076
O  0.687  0.531  0.245
O  0.145  0.647  0.078
O  0.871  0.513  0.138
O  0.463  0.155  0.530
O  0.022  0.825  0.410
O  0.975  0.790  0.803
O  0.842  0.308  0.245
O  0.512  0.859  0.077
O  0.468  0.310  0.744
O  0.185  0.212  0.697
O  0.357  0.484  0.363
O  0.026  0.209  0.197
O  0.642  0.506  0.922
O  0.484  0.361  0.136
O  0.187  0.019  0.590
O  0.175  0.199  0.410
O  0.312  0.841  0.257
O  0.210  0.026  0.303
O  0.544  0.690  0.972
O  0.643  0.520  0.636
O  0.842  0.541  0.030
O  0.842  0.532  0.744
O  0.977  0.184  0.303
O  0.485  0.121  0.639
O  0.175  0.979  0.910
O  0.025  0.199  0.911
O  0.032  0.819  0.698
O  0.882  0.364  0.636
O  0.361  0.857  0.577
O  0.788  0.974  0.692
O  0.865  0.356  0.922
O  0.358  0.881  0.862
O  0.517  0.837  0.756
S  0.290  0.295  0.749
S  0.000  0.708  0.750
S  0.333  0.958  0.916
S  0.293  0.998  0.249
S  0.043  0.665  0.416
S  0.704  0.709  0.249
S  0.622  0.666  0.918
S  0.623  0.956  0.417
S  0.371  0.332  0.083
S  0.667  0.038  0.083
S  0.333  0.380  0.416
S  0.964  0.336  0.583
S  0.667  0.628  0.583
S  0.004  0.293  0.249
S  0.046  0.379  0.916
Mg  0.339  0.666  0.816
Mg  0.320  0.666  0.018
Mg  0.007  0.000  0.149
Mg  0.327  0.667  0.517
Mg  0.004  0.000  0.649
Mg  0.332  0.666  0.315
Sc  0.991  0.001  0.851
Sc  0.673  0.339  0.982
Sc  0.676  0.338  0.185
Sc  0.002  0.000  0.352
Sc  0.668  0.328  0.684
Sc  0.657  0.328  0.482

Summary:
crystal system = triclinic
final energy = -726.99 eV per cell
mass density = 2.55 g cm⁻³

---

# 6
VASP calculation (PBE-GGA) on a relaxed structure of CsTmS2.

Unit cell a=4.049 b=4.049 c=16.051 alpha=90.00 beta=90.00 gamma=120.00
Fractional positions:
Tm  0.000  0.000  0.500
Tm  0.000  0.000  0.000
S  0.333  0.667  0.590
S  0.667  0.333  0.090
S  0.333  0.667  0.910
S  0.667  0.333  0.410
Cs  0.667  0.333  0.750
Cs  0.333  0.667  0.250

Summary:
crystal system = hexagonal
final energy = -41.79 eV per cell
mass density = 5.33 g cm⁻³

---

# 7
VASP calculation (PBE-GGA) on a relaxed structure of SbP4O12.

Unit cell a=8.784 b=10.354 c=12.629 alpha=53.09 beta=90.00 gamma=90.00
Fractional positions:
O  0.362  0.360  0.833
O  0.777  0.921  0.572
O  0.790  0.332  0.075
O  0.721  0.786  0.460
O  0.624  0.429  0.873
O  0.968  0.059  0.106
O  0.057  0.655  0.192
O  0.638  0.640  0.167
O  0.436  0.536  0.343
O  0.564  0.464  0.657
O  0.138  0.360  0.333
O  0.468  0.941  0.394
O  0.290  0.668  0.425
O  0.557  0.345  0.308
O  0.876  0.429  0.373
O  0.223  0.079  0.428
O  0.862  0.640  0.667
O  0.489  0.126  0.046
O  0.376  0.571  0.127
O  0.779  0.786  0.960
O  0.813  0.033  0.727
O  0.950  0.770  0.818
O  0.511  0.874  0.954
O  0.443  0.655  0.692
O  0.221  0.214  0.040
O  0.332  0.816  0.170
O  0.279  0.214  0.540
O  0.550  0.770  0.318
O  0.313  0.967  0.773
O  0.011  0.126  0.546
O  0.168  0.816  0.670
O  0.710  0.332  0.575
O  0.943  0.345  0.808
O  0.032  0.941  0.894
O  0.532  0.059  0.606
O  0.064  0.536  0.843
O  0.187  0.967  0.273
O  0.450  0.230  0.682
O  0.050  0.230  0.182
O  0.832  0.184  0.330
O  0.723  0.921  0.072
O  0.277  0.079  0.928
O  0.936  0.464  0.157
O  0.210  0.668  0.925
O  0.124  0.571  0.627
O  0.989  0.874  0.454
O  0.668  0.184  0.830
O  0.687  0.033  0.227
Sb  0.227  0.828  0.487
Sb  0.773  0.172  0.513
Sb  0.273  0.828  0.987
Sb  0.727  0.172  0.013
P  0.886  0.296  0.189
P  0.099  0.104  0.156
P  0.997  0.488  0.267
P  0.157  0.181  0.465
P  0.503  0.488  0.767
P  0.657  0.819  0.035
P  0.003  0.512  0.733
P  0.401  0.104  0.656
P  0.343  0.181  0.965
P  0.614  0.296  0.689
P  0.843  0.819  0.535
P  0.497  0.512  0.233
P  0.599  0.896  0.344
P  0.114  0.704  0.811
P  0.901  0.896  0.844
P  0.386  0.704  0.311

Summary:
crystal system = monoclinic
final energy = -467.97 eV per cell
mass density = 3.17 g cm⁻³

---

# 8
VASP calculation (PBE-GGA) on a relaxed structure of MgCd5.

Unit cell a=3.109 b=3.109 c=16.277 alpha=90.00 beta=90.00 gamma=120.00
Fractional positions:
Mg  0.000  0.000  0.000
Cd  0.667  0.333  0.165
Cd  0.000  0.000  0.667
Cd  0.667  0.333  0.835
Cd  0.000  0.000  0.333
Cd  0.667  0.333  0.500

Summary:
crystal system = hexagonal
final energy = -6.15 eV per cell
mass density = 7.15 g cm⁻³

---

# 9
VASP calculation (PBE-GGA) on a relaxed structure of Tm2IrRh.

Unit cell a=4.783 b=4.783 c=4.783 alpha=60.00 beta=60.00 gamma=60.00
Fractional positions:
Rh  0.000  0.000  0.000
Ir  0.500  0.500  0.500
Tm  0.750  0.750  0.750
Tm  0.250  0.250  0.250

Summary:
crystal system = cubic
final energy = -29.06 eV per cell
mass density = 13.59 g cm⁻³

---

# 10
VASP calculation (PBE-GGA) on a relaxed structure of LiI.

Unit cell a=4.245 b=4.245 c=6.979 alpha=90.00 beta=90.00 gamma=120.00
Fractional positions:
Li  0.000  0.000  0.000
Li  0.000  0.000  0.500
I  0.667  0.333  0.750
I  0.333  0.667  0.250

Summary:
crystal system = hexagonal
final energy = -11.65 eV per cell
mass density = 4.08 g cm⁻³

---

# 11
VASP calculation (PBE-GGA) on a relaxed structure of K2AgPdF6.

Unit cell a=6.196 b=6.196 c=6.196 alpha=60.00 beta=60.00 gamma=60.00
Fractional positions:
Pd  0.000  0.000  0.000
F  0.761  0.239  0.761
F  0.239  0.239  0.761
F  0.239  0.761  0.239
F  0.761  0.239  0.239
F  0.239  0.761  0.761
F  0.761  0.761  0.239
Ag  0.500  0.500  0.500
K  0.250  0.250  0.250
K  0.750  0.750  0.750

Summary:
crystal system = cubic
final energy = -40.53 eV per cell
mass density = 4.01 g cm⁻³

---

# 12
VASP calculation (PBE-GGA) on a relaxed structure of LiHo2Os.

Unit cell a=4.875 b=4.875 c=4.875 alpha=60.00 beta=60.00 gamma=60.00
Fractional positions:
Os  0.000  0.000  0.000
Ho  0.250  0.250  0.250
Ho  0.750  0.750  0.750
Li  0.500  0.500  0.500

Summary:
crystal system = cubic
final energy = -23.34 eV per cell
mass density = 10.68 g cm⁻³

---

Q: mass density of number 11 (K2AgPdF6)?
A: 4.01 g cm⁻³

---

Q: Among the records above, which one has the highest final energy?
A: MgCd5

---

Q: Number 4 is which compound?
A: Ti2S3